No. 1
## MgMnCo3O8 (GGA+U)

Data for a relaxed MgMnCo3O8 crystal.

Cell and atoms, written as POSCAR:
```
MgMnCo3O8
1.0
-0.805 -0.936 -2.724
-0.087 -2.914 -0.678
-18.357 -1.352 7.946
O Co Mg Mn
8 3 1 1
Cartesian
-15.429 -4.690 3.661
-3.913 -0.938 1.158
-6.195 -3.574 -0.583
-17.793 -2.599 6.557
-8.644 -2.014 2.246
-1.537 -2.614 -1.971
-12.657 -3.642 4.172
-10.931 -3.175 1.924
-14.410 -3.358 4.538
-5.055 -2.256 0.288
-9.215 -3.651 2.969
-11.832 -1.956 3.405
-0.848 -0.941 -2.702
```

E_tot (eV/atom): -6.055
ρ (g/cm3): 4.2
Crystal system: triclinic
Space-group type: P1
ΔE to the lowest computed polymorph (meV per atom): 130
V (Å³ per atom): 11.73
DFT formation energy (eV per atom): -1.471



No. 2
## MgMnCo3O8 (GGA+U)

Data for a relaxed MgMnCo3O8 crystal.

Cell and atoms, written as POSCAR:
```
MgMnCo3O8
1.0
-1.930 -5.281 -0.151
-5.770 -0.915 0.967
-2.378 -1.983 -4.885
Mg Co O Mn
1 3 8 1
Cartesian
-8.356 -5.884 -1.584
-6.730 -3.553 0.756
-5.212 -2.479 -4.401
-6.164 -5.083 -4.475
-4.130 -5.742 -3.767
-3.552 -4.673 -0.659
-2.661 -2.005 -0.636
-5.759 -2.301 -0.261
-6.296 -3.590 -3.322
-7.388 -6.182 -3.484
-3.245 -3.323 -3.698
-6.776 -5.083 -0.340
-8.029 -2.946 -3.745
```

E_tot (eV/atom): -6.142
ρ (g/cm3): 4.3
Crystal system: monoclinic
Space-group type: Cm
ΔE to the lowest computed polymorph (meV per atom): 43
V (Å³ per atom): 11.33
DFT formation energy (eV per atom): -1.558



No. 3
## NaMgCo2Mo2O10 (GGA+U)

Data for a relaxed NaMgCo2Mo2O10 crystal.

Cell and atoms, written as POSCAR:
```
NaMgCo2Mo2O10
1.0
-1.377 -1.524 -5.581
-2.910 4.128 -3.150
4.450 3.777 -5.681
O Mo Co Mg Na
10 2 2 1 1
Cartesian
1.459 3.263 -6.442
0.716 5.483 -8.350
1.121 5.618 -12.165
1.057 2.210 -4.029
-0.956 0.788 -2.389
1.450 2.972 -9.453
-1.230 3.185 -7.868
-1.156 4.069 -10.379
-1.498 3.482 -4.950
-0.615 0.818 -6.164
1.784 4.071 -8.065
-1.662 2.319 -6.345
-1.339 5.282 -8.797
-0.476 2.441 -10.053
1.204 1.335 -2.301
1.369 7.713 -8.622
```

E_tot (eV/atom): -6.371
ρ (g/cm3): 3.8
Crystal system: triclinic
Space-group type: P1
V (Å³ per atom): 14.15
DFT formation energy (eV per atom): -1.886



No. 4
## MgCoMo2O7 (GGA+U)

Data for a relaxed MgCoMo2O7 crystal.

Cell and atoms, written as POSCAR:
```
MgCoMo2O7
1.0
-8.116 -8.921 9.755
4.636 -5.142 -0.845
7.828 1.872 8.225
O Mg Mo Co
56 8 16 8
Cartesian
-0.052 -7.214 9.700
0.767 -4.625 8.549
7.150 -4.554 8.674
10.111 -4.489 7.666
-0.125 -10.927 13.264
4.350 -7.456 5.774
5.432 -3.282 2.112
3.581 -7.565 8.586
-1.083 -8.909 15.023
4.022 -0.118 6.526
-2.051 -5.010 9.445
2.843 -0.927 1.711
6.729 -2.044 10.192
8.613 0.632 7.935
6.400 -7.181 7.690
6.338 -5.546 3.939
1.907 -4.352 1.615
5.189 -3.845 11.829
2.841 -7.296 11.181
6.237 -3.087 5.688
-2.802 -7.637 8.461
4.306 -6.116 1.389
4.474 -1.264 3.871
8.654 -6.366 9.972
2.827 -4.312 10.548
3.712 -4.967 3.989
5.679 -6.376 10.632
-1.989 -6.645 13.196
0.327 -12.072 10.609
-0.841 -8.346 5.306
-0.001 -4.735 11.361
3.897 -6.111 13.310
0.637 -7.224 13.146
-4.264 -12.823 9.199
7.402 -1.782 7.685
3.359 -9.330 13.595
3.010 -2.765 5.845
-0.007 -9.663 8.823
2.442 -7.839 15.519
1.505 -11.264 15.424
6.135 -9.055 12.445
0.451 -6.080 3.825
0.990 -2.861 3.540
4.401 -4.976 7.435
-1.786 -3.136 4.690
-1.331 -5.814 6.503
-5.762 -7.701 9.469
0.043 -6.075 15.745
1.339 -9.426 11.290
-1.888 -9.104 11.447
-4.305 -5.824 7.163
-2.380 -10.147 6.943
-3.054 -10.409 9.450
1.522 -7.879 6.587
4.355 -2.528 8.312
1.508 -4.895 5.954
0.497 -2.771 1.298
-1.713 -3.855 6.641
2.603 -3.823 7.584
-1.423 -13.196 10.673
1.746 -8.368 9.551
6.062 -8.336 10.494
3.852 -9.420 15.837
5.772 1.005 6.462
2.575 -7.644 13.179
3.106 -5.131 0.493
-3.464 -10.401 11.440
4.674 -6.774 7.425
-1.118 -10.075 5.714
5.999 -3.269 7.695
7.812 -1.790 5.695
5.467 -2.116 11.421
1.243 -7.060 16.642
3.291 -1.141 5.219
3.961 -5.606 11.333
1.058 -11.050 11.916
0.388 -6.585 5.802
1.774 -4.547 3.956
-0.326 -5.417 9.710
-1.650 -8.921 9.440
-4.068 -6.362 9.300
4.501 -6.767 3.725
8.417 -5.829 7.835
5.295 -3.793 4.010
7.174 -5.094 10.568
-2.825 -7.097 6.566
-0.946 -8.398 13.125
-0.152 -5.424 13.410
```

E_tot (eV/atom): -6.676
ρ (g/cm3): 4.3
Crystal system: monoclinic
Space-group type: P2_1/c
V (Å³ per atom): 13.71
DFT formation energy (eV per atom): -1.932



No. 5
## MgCo2Te2Mo2O12 (GGA+U)

Data for a relaxed MgCo2Te2Mo2O12 crystal.

Cell and atoms, written as POSCAR:
```
MgCo2Te2Mo2O12
1.0
-3.923 -0.947 -3.127
3.311 -0.853 -4.073
0.437 -9.769 2.878
Co O Mg Mo Te
2 12 1 2 2
Cartesian
-0.119 -6.030 -2.103
0.220 -4.689 1.360
1.820 -6.700 -2.595
0.201 -2.527 -4.706
-0.491 -1.803 -1.856
-0.611 -5.361 -4.019
0.314 -7.100 -0.069
-0.355 -7.950 -3.224
-1.978 -6.862 -1.312
0.304 -4.373 -0.857
2.021 -3.948 -3.079
1.708 -9.401 -0.757
-2.187 -4.139 -2.168
-1.423 -9.733 -1.199
-0.194 -0.954 -3.610
-1.937 -8.905 -2.754
-1.662 -2.814 -0.867
-1.638 -7.490 0.507
-2.073 -4.145 -4.278
```

E_tot (eV/atom): -6.217
ρ (g/cm3): 4.7
Crystal system: triclinic
Space-group type: P1
V (Å³ per atom): 14.55
DFT formation energy (eV per atom): -1.730



No. 6
## MgCo2Te2Mo2O12 (GGA+U)

Data for a relaxed MgCo2Te2Mo2O12 crystal.

Cell and atoms, written as POSCAR:
```
MgCo2Te2Mo2O12
1.0
-0.182 5.080 0.503
-3.568 -0.620 3.893
7.546 -0.414 6.851
Te O Co Mo Mg
2 12 2 2 1
Cartesian
0.219 4.649 4.433
5.353 2.242 5.195
3.946 -0.180 8.987
0.320 1.232 1.534
3.750 3.342 5.211
2.573 2.989 7.718
1.654 3.537 3.415
3.987 0.907 6.041
5.564 3.913 7.450
0.478 3.367 5.854
1.582 0.621 7.433
-0.410 0.646 5.514
1.915 0.752 4.123
-2.268 3.133 4.496
2.099 2.012 5.807
3.461 4.879 3.812
-1.900 1.825 5.738
3.814 4.453 7.697
-3.556 -0.620 3.904
```

E_tot (eV/atom): -6.215
ρ (g/cm3): 4.7
Crystal system: monoclinic
Space-group type: P2
V (Å³ per atom): 14.58
DFT formation energy (eV per atom): -1.729